PBE+U Mg12Fe4C2O47, optimized geometry; E_form = -1100 meV/atom; mass density = 2.12 g/cm³
1.0
-2.601 9.460 -1.336
-5.862 1.368 8.334
6.392 4.847 6.833
O C Mg Fe
47 2 12 4
Direct
0.863 0.780 0.782
0.698 0.489 0.245
0.178 0.236 0.226
0.415 0.107 0.424
0.146 0.034 0.216
0.872 0.361 0.637
0.840 0.990 0.799
0.865 0.866 0.089
0.404 0.407 0.110
0.618 0.606 0.866
0.838 0.794 0.988
0.715 0.271 0.469
0.949 0.448 0.954
0.874 0.105 0.108
0.127 0.150 0.932
0.914 0.914 0.407
0.600 0.136 0.138
0.168 0.729 0.439
0.143 0.630 0.139
0.148 0.225 0.029
0.475 0.951 0.946
0.871 0.090 0.871
0.114 0.893 0.893
0.465 0.713 0.140
0.426 0.179 0.742
0.127 0.933 0.144
0.363 0.867 0.630
0.102 0.420 0.425
0.462 0.697 0.261
0.272 0.483 0.694
0.166 0.429 0.735
0.514 0.257 0.691
0.900 0.375 0.902
0.872 0.632 0.369
0.159 0.151 0.639
0.277 0.711 0.484
0.410 0.891 0.894
0.968 0.975 0.467
0.359 0.614 0.870
0.617 0.355 0.882
0.627 0.880 0.366
0.602 0.598 0.605
0.707 0.439 0.147
0.377 0.379 0.341
0.859 0.612 0.615
0.718 0.169 0.427
0.623 0.861 0.614
0.157 0.164 0.155
0.854 0.855 0.856
0.494 0.720 0.726
0.997 0.227 0.730
0.723 0.208 0.987
0.720 0.985 0.209
0.247 0.247 0.472
0.225 0.466 0.239
0.728 0.731 0.490
0.218 0.975 0.721
0.723 0.482 0.732
0.212 0.715 0.967
0.983 0.720 0.217
0.468 0.235 0.248
0.494 0.490 0.947
0.502 0.944 0.502
0.941 0.500 0.504
0.008 0.006 0.007